VASP calculation (GGA-PBE) on CdCu2SiSe4 after structural relaxation.

The structure in POSCAR format:
```
CdCu2SiSe4
1.0
4.578 4.700 0.953
-4.467 3.589 3.763
2.543 -3.829 6.671
Se Cu Si Cd
8 4 2 2
Cartesian
3.128 5.620 2.033 Se
2.146 2.018 2.581 Se
-0.464 4.833 2.951 Se
-0.146 -0.504 4.685 Se
1.482 6.661 5.937 Se
0.276 2.830 6.438 Se
2.640 4.917 8.976 Se
3.530 -0.067 6.213 Se
1.110 3.055 8.699 Cu
-0.156 4.962 5.377 Cu
0.447 0.292 2.447 Cu
1.723 -1.630 5.796 Cu
1.401 4.077 1.806 Si
-1.200 1.085 5.999 Si
-2.323 2.944 2.575 Cd
2.594 2.289 5.244 Cd
```

Values from the calculation:
* VASP energy: -31.6 eV/f.u.
* ΔE_f: -0.6144 eV per atom
* space group: No. 31

***

VASP calculation (GGA-PBE) on K3Au3I8 after structural relaxation.

The structure in POSCAR format:
```
K3Au3I8
1.0
4.225 6.692 0.000
-4.225 6.692 0.000
0.000 2.394 20.542
K I Au
6 16 6
Cartesian
4.076 7.291 5.136 K
0.028 11.326 18.799 K
-0.028 10.129 8.528 K
-4.076 8.488 15.407 K
0.028 5.649 12.014 K
-0.028 4.452 1.743 K
0.290 4.728 19.246 I
-1.757 5.765 15.262 I
2.258 7.767 1.528 I
2.258 6.814 8.743 I
1.757 10.014 5.281 I
-0.290 3.531 8.974 I
0.290 12.247 11.568 I
-2.258 8.964 11.799 I
1.757 4.568 4.990 I
-1.871 7.471 2.570 I
-0.290 11.050 1.297 I
-2.258 8.011 19.014 I
1.871 8.668 12.841 I
1.871 8.307 17.973 I
-1.757 11.211 15.552 I
-1.871 7.110 7.701 I
-0.002 9.905 14.156 Au
-0.002 7.070 16.657 Au
0.000 1.197 10.271 Au
0.000 0.000 0.000 Au
0.002 5.873 6.386 Au
0.002 8.708 3.885 Au
```

Values from the calculation:
* VASP energy: -35.0 eV/f.u.
* ΔE_f: -0.9062 eV per atom
* space group: No. 15

***

VASP calculation (GGA-PBE) on NaCeHfZrO6 after structural relaxation.

The structure in POSCAR format:
```
NaCeHfZrO6
1.0
0.000 -4.131 -4.131
4.131 0.000 -4.131
4.131 -4.131 0.000
Ce Zr O Hf Na
1 1 6 1 1
Cartesian
2.066 -2.066 -2.066 Ce
4.131 -4.131 -4.131 Zr
4.131 -6.212 -4.131 O
4.131 -2.051 -4.131 O
4.131 -4.131 -6.212 O
4.131 -4.131 -2.051 O
6.212 -4.131 -4.131 O
2.051 -4.131 -4.131 O
0.000 0.000 0.000 Hf
6.197 -6.197 -6.197 Na
```

Values from the calculation:
* VASP energy: -85.5 eV/f.u.
* ΔE_f: -3.4221 eV per atom
* space group: No. 216

***

VASP calculation (GGA-PBE) on Cs2RbScI6 after structural relaxation.

The structure in POSCAR format:
```
Cs2RbScI6
1.0
0.225 -8.279 3.612
-7.635 -4.749 0.892
-1.451 -7.241 -5.206
Cs Rb I Sc
2 1 6 1
Cartesian
-6.645 -15.202 -0.526 Cs
-2.215 -5.067 -0.175 Cs
-4.430 -10.135 -0.351 Rb
-6.059 -11.717 2.304 I
-2.801 -8.553 -3.006 I
-6.976 -11.150 -2.518 I
-2.678 -13.080 -1.031 I
-1.884 -9.120 1.816 I
-6.183 -7.190 0.329 I
0.000 0.000 0.000 Sc
```

Values from the calculation:
* VASP energy: -32.3 eV/f.u.
* ΔE_f: -1.6364 eV per atom
* space group: No. 225